[1]
This record from Materials Project describes a geometry-optimized MgV2O5 structure. The functional is PBE+U.

Cell lengths 3.725, 10.195, 11.210 Å; angles 90.00, 90.00, 90.00 degrees
Space group Cmcm (No. 63)
Asymmetric unit:
Mg (0.000, 0.109, 0.250)
V (0.000, 0.201, 0.598)
O (0.000, 0.041, 0.628)
O (0.000, 0.236, 0.077)
O (0.000, 0.304, 0.750)

Its energy relative to the elements is -2.6383 eV/atom. The spin magnetization comes out at 2.00 μB per formula unit. The volume comes out at 13.304 A^3/atom.



[2]
This record from Materials Project describes a geometry-optimized Sr2CaWO6 structure. The functional is PBE+U.

Cell lengths 8.375, 8.375, 8.375 Å; angles 90.00, 90.00, 90.00 degrees
Space group Fm-3m (No. 225)
Asymmetric unit:
Sr (0.250, 0.250, 0.250)
Ca (0.000, 0.000, 0.000)
W (0.000, 0.000, 0.500)
O (0.000, 0.000, 0.268)

Its energy relative to the elements is -2.9767 eV/atom. The spin magnetization comes out at 0.00 μB per formula unit. The volume comes out at 14.687 A^3/atom.



[3]
This record from Materials Project describes a geometry-optimized Li2FeP2O8 structure. The functional is PBE+U.

Cell lengths 8.265, 8.323, 10.727 Å; angles 90.35, 91.25, 103.80 degrees
Space group P1 (No. 1)
Asymmetric unit:
Li (0.000, 0.000, 0.000)
Li (0.001, 0.509, 0.847)
Li (0.030, 0.069, 0.513)
Li (0.548, 0.061, 0.332)
Li (0.840, 0.615, 0.592)
Li (0.863, 0.128, 0.240)
Li (0.931, 0.187, 0.746)
Li (0.941, 0.687, 0.120)
Fe (0.292, 0.811, 0.514)
Fe (0.295, 0.324, 0.339)
Fe (0.484, 0.499, 0.011)
Fe (0.484, 0.997, 0.835)
P (0.103, 0.876, 0.755)
P (0.108, 0.378, 0.089)
P (0.155, 0.454, 0.582)
P (0.164, 0.964, 0.272)
P (0.625, 0.366, 0.769)
P (0.630, 0.867, 0.082)
P (0.671, 0.432, 0.259)
P (0.673, 0.934, 0.589)
O (0.008, 0.513, 0.524)
O (0.028, 0.031, 0.334)
O (0.033, 0.516, 0.034)
O (0.034, 0.014, 0.812)
O (0.111, 0.390, 0.714)
O (0.118, 0.902, 0.139)
O (0.155, 0.920, 0.614)
O (0.161, 0.416, 0.229)
O (0.197, 0.310, 0.501)
O (0.214, 0.823, 0.350)
O (0.265, 0.368, 0.013)
O (0.266, 0.864, 0.828)
O (0.312, 0.605, 0.580)
O (0.327, 0.113, 0.279)
O (0.481, 0.207, 0.772)
O (0.483, 0.709, 0.076)
O (0.515, 0.453, 0.332)
O (0.517, 0.952, 0.507)
O (0.576, 0.499, 0.852)
O (0.580, 0.997, 0.994)
O (0.616, 0.907, 0.726)
O (0.621, 0.406, 0.117)
O (0.655, 0.945, 0.213)
O (0.656, 0.433, 0.636)
O (0.723, 0.275, 0.301)
O (0.735, 0.786, 0.544)
O (0.790, 0.328, 0.816)
O (0.790, 0.824, 0.038)
O (0.814, 0.587, 0.272)
O (0.817, 0.089, 0.579)
O (0.980, 0.708, 0.757)
O (0.982, 0.209, 0.080)

Its energy relative to the elements is -2.3618 eV/atom. The spin magnetization comes out at 4.00 μB per formula unit. The volume comes out at 13.777 A^3/atom.



[4]
This record from Materials Project describes a geometry-optimized LaCrTeO6 structure. The functional is PBE+U.

Cell lengths 5.495, 5.506, 5.513 Å; angles 119.85, 90.41, 119.47 degrees
Space group P1 (No. 1)
Asymmetric unit:
La (0.000, 0.000, 0.000)
Cr (0.255, 0.507, 0.747)
Te (0.758, 0.507, 0.248)
O (0.071, 0.567, 0.484)
O (0.436, 0.434, 0.008)
O (0.548, 0.017, 0.040)
O (0.567, 0.535, 0.547)
O (0.959, 0.504, 0.959)
O (0.977, 0.997, 0.443)

Its energy relative to the elements is -2.3452 eV/atom. The spin magnetization comes out at 3.00 μB per formula unit. The volume comes out at 13.191 A^3/atom.



[5]
This record from Materials Project describes a geometry-optimized Ba2MnV2HO9 structure. The functional is PBE+U.

Cell lengths 8.001, 6.330, 9.164 Å; angles 90.00, 111.92, 90.00 degrees
Space group P2_1/m (No. 11)
Asymmetric unit:
Ba (0.177, 0.250, 0.089)
Ba (0.231, 0.750, 0.739)
Mn (0.500, 0.000, 0.500)
V (0.053, 0.750, 0.325)
V (0.453, 0.750, 0.169)
H (0.244, 0.250, 0.487)
O (0.005, 0.031, 0.797)
O (0.066, 0.250, 0.551)
O (0.232, 0.750, 0.046)
O (0.288, 0.750, 0.448)
O (0.337, 0.250, 0.437)
O (0.424, 0.250, 0.947)
O (0.497, 0.512, 0.286)

Its energy relative to the elements is -2.6174 eV/atom. The spin magnetization comes out at 4.00 μB per formula unit. The volume comes out at 14.352 A^3/atom.



[6]
This record from Materials Project describes a geometry-optimized CaV8O8F8 structure. The functional is PBE+U.

Cell lengths 5.026, 5.737, 10.572 Å; angles 95.96, 91.91, 92.97 degrees
Space group P1 (No. 1)
Asymmetric unit:
Ca (0.000, 0.000, 0.000)
V (0.011, 0.868, 0.632)
V (0.026, 0.562, 0.842)
V (0.484, 0.894, 0.151)
V (0.497, 0.627, 0.379)
V (0.506, 0.121, 0.865)
V (0.523, 0.350, 0.600)
V (0.992, 0.431, 0.130)
V (0.999, 0.124, 0.376)
O (0.164, 0.892, 0.804)
O (0.183, 0.141, 0.548)
O (0.196, 0.689, 0.050)
O (0.315, 0.896, 0.312)
O (0.678, 0.349, 0.436)
O (0.824, 0.572, 0.680)
O (0.829, 0.091, 0.199)
O (0.846, 0.338, 0.935)
F (0.182, 0.421, 0.312)
F (0.321, 0.649, 0.553)
F (0.351, 0.401, 0.781)
F (0.368, 0.200, 0.065)
F (0.624, 0.826, 0.950)
F (0.665, 0.603, 0.206)
F (0.686, 0.068, 0.683)
F (0.813, 0.834, 0.448)

Its energy relative to the elements is -2.6804 eV/atom. The spin magnetization comes out at 18.00 μB per formula unit. The volume comes out at 12.101 A^3/atom.



[7]
This record from Materials Project describes a geometry-optimized P2W3O13 structure. The functional is PBE+U.

Cell lengths 12.323, 5.413, 16.003 Å; angles 90.00, 90.00, 90.00 degrees
Space group Pnma (No. 62)
Asymmetric unit:
P (0.013, 0.250, 0.157)
P (0.198, 0.750, 0.939)
W (0.089, 0.750, 0.634)
W (0.132, 0.750, 0.395)
W (0.196, 0.750, 0.160)
O (0.026, 0.001, 0.382)
O (0.049, 0.750, 0.761)
O (0.072, 0.750, 0.919)
O (0.078, 0.015, 0.143)
O (0.122, 0.750, 0.520)
O (0.170, 0.750, 0.273)
O (0.189, 0.501, 0.660)
O (0.206, 0.750, 0.034)
O (0.246, 0.513, 0.902)

Its energy relative to the elements is -2.3700 eV/atom. The spin magnetization comes out at 0.00 μB per formula unit. The volume comes out at 14.826 A^3/atom.



[8]
This record from Materials Project describes a geometry-optimized Na2NiPCO7 structure. The functional is PBE+U.

Cell lengths 8.491, 8.518, 10.109 Å; angles 107.38, 107.39, 104.74 degrees
Space group P1 (No. 1)
Asymmetric unit:
Na (0.000, 0.000, 0.000)
Na (0.007, 0.961, 0.472)
Na (0.239, 0.718, 0.992)
Na (0.479, 0.480, 0.991)
Na (0.491, 0.467, 0.471)
Na (0.531, 0.790, 0.810)
Na (0.736, 0.233, 0.481)
Na (0.761, 0.240, 0.998)
Ni (0.052, 0.297, 0.387)
Ni (0.432, 0.168, 0.083)
Ni (0.544, 0.793, 0.387)
Ni (0.929, 0.670, 0.085)
P (0.186, 0.428, 0.157)
P (0.299, 0.038, 0.315)
P (0.685, 0.923, 0.155)
P (0.793, 0.531, 0.312)
C (0.224, 0.463, 0.663)
C (0.259, 0.001, 0.811)
C (0.723, 0.957, 0.662)
C (0.761, 0.502, 0.810)
O (0.056, 0.295, 0.193)
O (0.077, 0.507, 0.063)
O (0.078, 0.323, 0.599)
O (0.149, 0.888, 0.164)
O (0.170, 0.915, 0.672)
O (0.219, 0.146, 0.409)
O (0.219, 0.956, 0.914)
O (0.262, 0.319, 0.060)
O (0.278, 0.511, 0.569)
O (0.308, 0.548, 0.806)
O (0.337, 0.571, 0.307)
O (0.405, 0.142, 0.871)
O (0.416, 0.969, 0.410)
O (0.425, 0.169, 0.274)
O (0.551, 0.792, 0.190)
O (0.579, 0.001, 0.055)
O (0.581, 0.813, 0.601)
O (0.644, 0.384, 0.158)
O (0.676, 0.420, 0.669)
O (0.713, 0.455, 0.908)
O (0.713, 0.635, 0.408)
O (0.759, 0.815, 0.053)
O (0.769, 0.004, 0.563)
O (0.805, 0.042, 0.805)
O (0.833, 0.068, 0.306)
O (0.895, 0.446, 0.403)
O (0.905, 0.645, 0.873)
O (0.914, 0.663, 0.271)

Its energy relative to the elements is -2.0780 eV/atom. The spin magnetization comes out at 1.00 μB per formula unit. The volume comes out at 12.847 A^3/atom.



Please write out number 3 again, unchanged.
This record from Materials Project describes a geometry-optimized Li2FeP2O8 structure. The functional is PBE+U.

Cell lengths 8.265, 8.323, 10.727 Å; angles 90.35, 91.25, 103.80 degrees
Space group P1 (No. 1)
Asymmetric unit:
Li (0.000, 0.000, 0.000)
Li (0.001, 0.509, 0.847)
Li (0.030, 0.069, 0.513)
Li (0.548, 0.061, 0.332)
Li (0.840, 0.615, 0.592)
Li (0.863, 0.128, 0.240)
Li (0.931, 0.187, 0.746)
Li (0.941, 0.687, 0.120)
Fe (0.292, 0.811, 0.514)
Fe (0.295, 0.324, 0.339)
Fe (0.484, 0.499, 0.011)
Fe (0.484, 0.997, 0.835)
P (0.103, 0.876, 0.755)
P (0.108, 0.378, 0.089)
P (0.155, 0.454, 0.582)
P (0.164, 0.964, 0.272)
P (0.625, 0.366, 0.769)
P (0.630, 0.867, 0.082)
P (0.671, 0.432, 0.259)
P (0.673, 0.934, 0.589)
O (0.008, 0.513, 0.524)
O (0.028, 0.031, 0.334)
O (0.033, 0.516, 0.034)
O (0.034, 0.014, 0.812)
O (0.111, 0.390, 0.714)
O (0.118, 0.902, 0.139)
O (0.155, 0.920, 0.614)
O (0.161, 0.416, 0.229)
O (0.197, 0.310, 0.501)
O (0.214, 0.823, 0.350)
O (0.265, 0.368, 0.013)
O (0.266, 0.864, 0.828)
O (0.312, 0.605, 0.580)
O (0.327, 0.113, 0.279)
O (0.481, 0.207, 0.772)
O (0.483, 0.709, 0.076)
O (0.515, 0.453, 0.332)
O (0.517, 0.952, 0.507)
O (0.576, 0.499, 0.852)
O (0.580, 0.997, 0.994)
O (0.616, 0.907, 0.726)
O (0.621, 0.406, 0.117)
O (0.655, 0.945, 0.213)
O (0.656, 0.433, 0.636)
O (0.723, 0.275, 0.301)
O (0.735, 0.786, 0.544)
O (0.790, 0.328, 0.816)
O (0.790, 0.824, 0.038)
O (0.814, 0.587, 0.272)
O (0.817, 0.089, 0.579)
O (0.980, 0.708, 0.757)
O (0.982, 0.209, 0.080)

Its energy relative to the elements is -2.3618 eV/atom. The spin magnetization comes out at 4.00 μB per formula unit. The volume comes out at 13.777 A^3/atom.



Q: What is the energy relative to the elements in the seventh record?
A: -2.3700 eV/atom



Copy entry 4 word for word.
This record from Materials Project describes a geometry-optimized LaCrTeO6 structure. The functional is PBE+U.

Cell lengths 5.495, 5.506, 5.513 Å; angles 119.85, 90.41, 119.47 degrees
Space group P1 (No. 1)
Asymmetric unit:
La (0.000, 0.000, 0.000)
Cr (0.255, 0.507, 0.747)
Te (0.758, 0.507, 0.248)
O (0.071, 0.567, 0.484)
O (0.436, 0.434, 0.008)
O (0.548, 0.017, 0.040)
O (0.567, 0.535, 0.547)
O (0.959, 0.504, 0.959)
O (0.977, 0.997, 0.443)

Its energy relative to the elements is -2.3452 eV/atom. The spin magnetization comes out at 3.00 μB per formula unit. The volume comes out at 13.191 A^3/atom.



Q: The highest volume belongs to which entry?
A: P2W3O13